! LaSi2P6 (PBE-GGA, optimized geometry); values from VASP
&SYSTEM
  ibrav = 0, nat = 72, ntyp = 3
/
ATOMIC_SPECIES
La 138.91 La.upf
Si 28.09 Si.upf
P 30.97 P.upf
CELL_PARAMETERS angstrom
5.101 -14.172 0.000
5.101 14.172 0.000
0.000 0.000 10.460
ATOMIC_POSITIONS angstrom
La 5.101 13.003 5.230
La 5.101 7.536 0.404
La 5.101 5.378 5.439
La 5.101 2.299 9.671
La 5.101 -2.299 4.441
La 5.101 -5.378 0.209
La 5.101 -7.536 5.634
La 5.101 -13.003 0.000
Si 3.351 9.118 3.236
Si 1.811 4.678 1.493
Si 1.640 2.284 6.293
Si 1.640 -2.284 1.064
Si 3.361 1.882 2.957
Si 1.811 -4.678 6.723
Si 6.852 9.119 3.236
Si 3.361 -1.882 8.187
Si 6.842 1.882 2.957
Si 3.351 -9.119 8.466
Si 8.391 4.678 1.493
Si 6.842 -1.882 8.187
Si 8.562 2.284 6.293
Si 8.562 -2.284 1.064
Si 8.391 -4.678 6.723
Si 6.852 -9.118 8.466
P 2.982 7.309 6.407
P 5.101 12.976 2.119
P 2.085 4.438 6.299
P 5.101 11.974 8.164
P 2.110 3.470 10.055
P 3.416 6.613 8.470
P 1.563 1.332 4.217
P 5.101 9.747 8.130
P 1.563 -1.332 9.447
P 3.525 4.133 2.909
P 5.101 7.744 3.426
P 3.057 0.831 1.004
P 3.472 1.189 7.084
P 5.101 5.169 8.404
P 2.110 -3.470 4.825
P 3.057 -0.831 6.234
P 5.101 4.386 1.381
P 2.085 -4.438 1.069
P 3.472 -1.189 1.854
P 5.101 2.121 5.892
P 6.786 6.613 8.470
P 7.220 7.309 6.407
P 5.101 0.878 4.047
P 3.525 -4.133 8.138
P 6.678 4.133 2.909
P 5.101 -0.878 9.277
P 2.982 -7.309 1.177
P 3.416 -6.613 3.240
P 5.101 -2.121 0.662
P 6.731 1.189 7.084
P 8.118 4.438 6.299
P 5.101 -4.386 6.611
P 7.145 0.831 1.004
P 8.093 3.470 10.055
P 5.101 -5.169 3.175
P 6.731 -1.189 1.854
P 7.145 -0.831 6.234
P 5.101 -7.744 8.656
P 6.678 -4.133 8.138
P 8.639 1.332 4.217
P 5.101 -9.747 2.900
P 8.639 -1.332 9.447
P 6.786 -6.613 3.240
P 8.093 -3.470 4.825
P 5.101 -11.974 2.934
P 8.118 -4.438 1.069
P 5.101 -12.976 7.349
P 7.220 -7.309 1.177
! Formation energy, eV/atom: -0.46
! Crystal system: orthorhombic
! DFT total energy, eV/atom: -5.828

! LaZn3P3 (PBE-GGA, optimized geometry); values from VASP
&SYSTEM
  ibrav = 0, nat = 14, ntyp = 3
/
ATOMIC_SPECIES
La 138.91 La.upf
Zn 65.41 Zn.upf
P 30.97 P.upf
CELL_PARAMETERS angstrom
4.081 0.000 0.000
-2.041 3.535 0.000
0.000 0.000 20.205
ATOMIC_POSITIONS angstrom
La 0.000 0.000 0.000
La 0.000 0.000 10.102
Zn 0.000 2.356 2.625
Zn 0.000 2.356 7.477
Zn 0.000 2.356 15.153
Zn 2.041 1.178 5.051
Zn 2.041 1.178 12.728
Zn 2.041 1.178 17.579
P 0.000 2.356 5.051
P 0.000 2.356 11.884
P 0.000 2.356 18.422
P 2.041 1.178 1.782
P 2.041 1.178 8.320
P 2.041 1.178 15.153
! Formation energy, eV/atom: -0.62
! Crystal system: hexagonal
! DFT total energy, eV/atom: -4.189

! La5Pb3 (PBE-GGA, optimized geometry); values from VASP
&SYSTEM
  ibrav = 0, nat = 16, ntyp = 2
/
ATOMIC_SPECIES
La 138.91 La.upf
Pb 207.20 Pb.upf
CELL_PARAMETERS angstrom
9.669 0.000 0.000
-4.835 8.374 0.000
0.000 0.000 7.004
ATOMIC_POSITIONS angstrom
La -1.192 2.065 1.751
La -3.642 6.309 5.253
La 2.385 0.000 1.751
La 1.192 2.065 5.253
La 0.000 5.583 0.000
La 0.000 5.583 3.502
La 4.835 2.791 0.000
La 4.835 2.791 3.502
La 7.285 0.000 5.253
La 3.642 6.309 1.751
Pb -1.883 3.261 5.253
Pb -2.952 5.113 1.751
Pb 3.765 0.000 5.253
Pb 1.883 3.261 1.751
Pb 5.904 0.000 1.751
Pb 2.952 5.113 5.253
! Formation energy, eV/atom: -0.55
! Crystal system: hexagonal
! DFT total energy, eV/atom: -5.029

! LaPb2 (PBE-GGA, optimized geometry); values from VASP
&SYSTEM
  ibrav = 0, nat = 3, ntyp = 2
/
ATOMIC_SPECIES
La 138.91 La.upf
Pb 207.20 Pb.upf
CELL_PARAMETERS angstrom
-2.066 2.066 5.638
2.066 -2.066 5.638
2.066 2.066 -5.638
ATOMIC_POSITIONS angstrom
La 0.000 0.000 0.000
Pb 0.000 0.000 3.537
Pb 0.000 0.000 7.740
! Formation energy, eV/atom: -0.30
! Crystal system: tetragonal
! DFT total energy, eV/atom: -4.424

! La4Pb3 (PBE-GGA, optimized geometry); values from VASP
&SYSTEM
  ibrav = 0, nat = 14, ntyp = 2
/
ATOMIC_SPECIES
La 138.91 La.upf
Pb 207.20 Pb.upf
CELL_PARAMETERS angstrom
-4.962 4.962 4.962
4.962 -4.962 4.962
4.962 4.962 -4.962
ATOMIC_POSITIONS angstrom
La 4.255 0.707 -0.707
La 6.736 -1.774 1.774
La 0.707 0.707 0.707
La 0.707 -0.707 4.255
La 4.255 -0.707 5.670
La 6.736 1.774 3.189
La 3.189 3.189 3.189
La -1.774 1.774 6.736
Pb 7.443 1.241 0.000
Pb 3.722 0.000 2.481
Pb 2.481 3.722 0.000
Pb 0.000 2.481 3.722
Pb 1.241 0.000 7.443
Pb 0.000 7.443 1.241
! Formation energy, eV/atom: -0.63
! Crystal system: cubic
! DFT total energy, eV/atom: -5.038

! La5Pb4 (PBE-GGA, optimized geometry); values from VASP
&SYSTEM
  ibrav = 0, nat = 36, ntyp = 2
/
ATOMIC_SPECIES
La 138.91 La.upf
Pb 207.20 Pb.upf
CELL_PARAMETERS angstrom
8.661 0.000 0.000
0.000 16.516 0.000
0.000 0.000 8.764
ATOMIC_POSITIONS angstrom
La 0.246 1.671 1.569
La 0.246 6.587 1.569
La 1.045 10.195 2.985
La 1.045 14.579 2.985
La 1.824 4.129 4.410
La 2.507 12.387 0.028
La 3.286 1.937 7.367
La 3.286 6.321 7.367
La 4.085 9.929 5.951
La 4.085 14.845 5.951
La 4.577 1.671 2.813
La 4.577 6.587 2.813
La 5.375 10.195 1.397
La 5.375 14.579 1.397
La 6.154 4.129 8.736
La 6.838 12.387 4.354
La 7.616 1.937 5.779
La 7.616 6.321 5.779
La 8.415 9.929 7.195
La 8.415 14.845 7.195
Pb 0.674 4.129 7.715
Pb 1.429 12.387 5.642
Pb 1.912 0.722 4.664
Pb 1.912 7.536 4.664
Pb 2.419 8.980 0.282
Pb 2.419 15.794 0.282
Pb 2.901 4.129 1.260
Pb 3.656 12.387 3.333
Pb 5.005 4.129 5.431
Pb 5.760 12.387 7.504
Pb 6.242 0.722 8.482
Pb 6.242 7.536 8.482
Pb 6.749 8.980 4.100
Pb 6.749 15.794 4.100
Pb 7.232 4.129 3.122
Pb 7.987 12.387 1.049
! Formation energy, eV/atom: -0.62
! Crystal system: orthorhombic
! DFT total energy, eV/atom: -5.012